CaMg2S3O12 (PBE, optimized geometry); energy relative to the elements = -2497 meV per atom
1.0
-1.232 -5.310 -5.056
-0.311 11.688 -12.199
14.581 -7.408 4.227
Ca Mg S O
8 16 24 96
Direct
0.033 0.992 0.514
0.033 0.486 0.478
0.033 0.522 0.008
0.533 0.008 0.486
0.533 0.514 0.522
0.533 0.478 0.992
0.529 0.004 0.993
0.029 0.996 0.007
0.582 0.333 0.667
0.082 0.667 0.333
0.077 0.173 0.331
0.077 0.668 0.841
0.078 0.159 0.826
0.577 0.827 0.669
0.577 0.332 0.159
0.578 0.841 0.174
0.988 0.333 0.667
0.488 0.667 0.333
0.482 0.162 0.337
0.483 0.664 0.825
0.484 0.175 0.839
0.982 0.838 0.663
0.983 0.336 0.175
0.984 0.825 0.161
0.778 0.017 0.182
0.782 0.818 0.835
0.784 0.165 0.983
0.278 0.983 0.818
0.282 0.182 0.165
0.284 0.835 0.017
0.785 0.164 0.484
0.785 0.516 0.680
0.785 0.320 0.836
0.285 0.836 0.516
0.285 0.484 0.320
0.285 0.680 0.164
0.274 0.983 0.319
0.274 0.681 0.664
0.274 0.336 0.017
0.774 0.017 0.681
0.774 0.319 0.336
0.774 0.664 0.983
0.787 0.818 0.335
0.787 0.665 0.483
0.787 0.517 0.182
0.287 0.182 0.665
0.287 0.335 0.517
0.287 0.483 0.818
0.783 0.259 0.564
0.783 0.436 0.695
0.782 0.305 0.741
0.283 0.741 0.436
0.283 0.564 0.305
0.282 0.695 0.259
0.813 0.099 0.518
0.813 0.482 0.581
0.813 0.419 0.901
0.313 0.901 0.482
0.313 0.518 0.419
0.313 0.581 0.099
0.246 0.017 0.418
0.246 0.582 0.599
0.246 0.401 0.983
0.746 0.983 0.582
0.746 0.418 0.401
0.746 0.599 0.017
0.613 0.069 0.224
0.614 0.778 0.846
0.613 0.151 0.933
0.113 0.931 0.776
0.114 0.222 0.154
0.113 0.849 0.067
0.790 0.919 0.401
0.790 0.599 0.518
0.790 0.482 0.081
0.290 0.081 0.599
0.290 0.401 0.482
0.290 0.518 0.919
0.769 0.982 0.082
0.781 0.919 0.901
0.786 0.100 0.019
0.269 0.018 0.918
0.281 0.081 0.099
0.286 0.900 0.981
0.273 0.064 0.304
0.273 0.696 0.759
0.274 0.241 0.936
0.773 0.936 0.696
0.773 0.304 0.241
0.774 0.759 0.064
0.624 0.778 0.350
0.624 0.649 0.428
0.624 0.572 0.222
0.124 0.222 0.650
0.124 0.351 0.572
0.124 0.428 0.778
0.132 0.918 0.265
0.132 0.734 0.652
0.132 0.347 0.082
0.632 0.082 0.735
0.632 0.266 0.348
0.632 0.653 0.918
0.455 0.939 0.294
0.455 0.706 0.645
0.455 0.355 0.061
0.955 0.061 0.706
0.955 0.294 0.355
0.955 0.645 0.939
0.787 0.936 0.197
0.788 0.804 0.740
0.788 0.260 0.063
0.287 0.064 0.803
0.288 0.196 0.260
0.288 0.740 0.937
0.783 0.804 0.240
0.783 0.760 0.564
0.783 0.436 0.196
0.283 0.196 0.760
0.283 0.240 0.436
0.283 0.564 0.804
0.942 0.074 0.218
0.943 0.780 0.855
0.942 0.147 0.924
0.442 0.926 0.782
0.443 0.220 0.145
0.442 0.853 0.076
0.929 0.155 0.421
0.930 0.579 0.735
0.930 0.266 0.844
0.429 0.845 0.579
0.430 0.421 0.265
0.430 0.734 0.156
0.606 0.141 0.437
0.607 0.563 0.705
0.607 0.295 0.859
0.106 0.859 0.563
0.107 0.437 0.295
0.107 0.705 0.141
0.953 0.779 0.349
0.953 0.651 0.430
0.953 0.570 0.221
0.453 0.221 0.651
0.453 0.349 0.570
0.453 0.430 0.779